Entry from the Materials Project: crystalline FeH16C4S4N8Cl2 at its relaxed geometry (PBE).

```
FeH16C4S4N8Cl2
1.0
13.7845 0.0000 0.0000
0.0000 13.7845 0.0000
0.0000 0.0000 9.1755
Fe H C S N Cl
4 64 16 16 32 8
Cartesian
3.4461 3.4461 6.8816
10.3384 10.3384 6.8816
3.4461 10.3384 2.2939
10.3384 3.4461 2.2939
12.6650 0.7822 6.7699
1.1195 13.0024 6.7699
6.1101 5.7727 2.1822
7.6744 8.0118 2.1822
8.0118 6.1101 6.9933
5.7727 7.6744 6.9933
0.7822 1.1195 2.4056
13.0024 12.6650 2.4056
11.8243 1.8926 5.6891
1.9603 11.8919 5.6891
4.9997 4.9320 1.1013
8.7849 8.8525 1.1013
8.8525 4.9997 8.0742
4.9320 8.7849 8.0742
1.8926 1.9603 3.4864
11.8919 11.8243 3.4864
13.0037 3.4632 4.4878
0.7809 10.3213 4.4878
3.4290 6.1114 9.0756
10.3555 7.6731 9.0756
7.6731 3.4290 0.0999
6.1114 10.3555 0.0999
3.4632 0.7809 4.6877
10.3213 13.0037 4.6877
0.9071 3.7386 4.8856
12.8774 10.0460 4.8856
3.1537 7.7994 0.2979
10.6309 5.9851 0.2979
5.9851 3.1537 8.8776
7.7994 10.6309 8.8776
3.7386 12.8774 4.2899
10.0460 0.9071 4.2899
4.5341 11.8267 7.5658
9.2504 1.9578 7.5658
8.8501 11.4264 2.9780
4.9345 2.3581 2.9780
2.3581 8.8501 6.1975
11.4264 4.9345 6.1975
11.8267 9.2504 1.6097
1.9578 4.5341 1.6097
5.5922 12.6146 6.4054
8.1923 1.1699 6.4054
8.0622 12.4845 1.8176
5.7224 1.3000 1.8176
1.3000 8.0622 7.3579
12.4845 5.7224 7.3579
12.6146 8.1923 2.7701
1.1699 5.5922 2.7701
3.4155 1.0981 8.9391
10.3690 12.6864 8.9391
5.7942 10.3078 4.3514
7.9904 3.4768 4.3514
3.4768 5.7942 4.8241
10.3078 7.9904 4.8241
1.0981 10.3690 0.2364
12.6864 3.4155 0.2364
3.3711 13.1270 9.1204
10.4134 0.6575 9.1204
7.5498 10.2634 4.5326
6.2348 3.5212 4.5326
3.5212 7.5498 4.6429
10.2634 6.2348 4.6429
13.1270 10.4134 0.0551
0.6575 3.3711 0.0551
0.0335 2.2682 5.9749
13.7510 11.5164 5.9749
4.6241 6.9258 1.3871
9.1604 6.8587 1.3871
6.8587 4.6241 7.7884
6.9258 9.1604 7.7884
2.2682 13.7510 3.2006
11.5164 0.0335 3.2006
4.4865 0.0996 7.5444
9.2980 13.6849 7.5444
6.7926 11.3788 2.9566
6.9919 2.4057 2.9566
2.4057 6.7926 6.2189
11.3788 6.9919 6.2189
0.0996 9.2980 1.6311
13.6849 4.4865 1.6311
1.4403 1.8283 6.8660
12.3443 11.9563 6.8660
5.0640 8.3325 2.2783
8.7206 5.4520 2.2783
5.4520 5.0640 6.8972
8.3325 8.7206 6.8972
1.8283 12.3443 2.3095
11.9563 1.4403 2.3095
5.0348 1.5173 6.7300
8.7497 12.2672 6.7300
5.3750 11.9271 2.1423
8.4096 1.8574 2.1423
1.8574 5.3750 7.0332
11.9271 8.4096 7.0332
1.5173 8.7497 2.4455
12.2672 5.0348 2.4455
12.6662 1.6315 6.2099
1.1183 12.1530 6.2099
5.2607 5.7740 1.6222
8.5238 8.0106 1.6222
8.0106 5.2607 7.5533
5.7740 8.5238 7.5533
1.6315 1.1183 2.9656
12.1530 12.6662 2.9656
0.0448 3.2273 5.0430
13.7398 10.5572 5.0430
3.6650 6.9370 0.4552
10.1196 6.8475 0.4552
6.8475 3.6650 8.7203
6.9370 10.1196 8.7203
3.2273 13.7398 4.1325
10.5572 0.0448 4.1325
4.8535 12.6764 7.0928
8.9310 1.1082 7.0928
8.0004 11.7458 2.5051
5.7841 2.0387 2.5051
2.0387 8.0004 6.6704
11.7458 5.7841 6.6704
12.6764 8.9310 2.0827
1.1082 4.8535 2.0827
3.6896 0.1705 8.6105
10.0950 13.6140 8.6105
6.7218 10.5819 4.0228
7.0628 3.2027 4.0228
3.2027 6.7218 5.1527
10.5819 7.0628 5.1527
0.1705 10.0950 0.5649
13.6140 3.6896 0.5649
3.4405 3.3176 0.2538
10.3441 10.4669 0.2538
3.5746 10.3328 4.8415
10.2099 3.4518 4.8415
3.4518 3.5746 4.3340
10.3328 10.2099 4.3340
3.3176 10.3441 8.9217
10.4669 3.4405 8.9217
```

## Properties
As for the symmetry: P4_2/n (86). The value obtained for the raw total energy is -195.5 eV/f.u. Its formation energy is -12.1 eV per formula unit. The value obtained for the magnetic moment is 0.0 μB per formula unit.



Entry from the Materials Project: crystalline Nb3Tl3O10 at its relaxed geometry (PBE).

```
Nb3Tl3O10
1.0
-10.8347 -5.7595 11.9763
-11.9375 4.8995 11.2911
7.5877 -0.2035 -15.3747
Nb Tl O
12 12 40
Cartesian
-2.0533 0.8816 -3.8577
-11.2523 -1.8741 9.8306
-9.0757 -4.4780 8.0470
-11.2506 -2.1300 6.0052
-9.6131 0.6179 3.8916
-8.0017 3.5771 5.5781
-8.0078 3.3337 1.8019
-5.8492 1.0033 3.8284
-5.2818 -4.5797 0.3596
-3.6583 -1.5982 2.0588
-13.4048 0.6997 11.5803
-3.6586 -1.8342 -1.7679
-11.8028 3.5357 9.5794
-13.5278 0.3679 7.7740
-9.6270 0.8515 7.7044
0.1355 -1.7000 -5.6285
1.8614 1.1316 -7.7400
-7.4512 -1.8327 5.8293
-17.3389 0.6362 15.4507
-7.4404 -2.0620 2.2454
-5.8332 0.7497 0.0170
-15.0444 -2.0283 13.6925
-1.9152 1.0668 -0.0420
-4.2260 3.5615 -2.2114
-9.9106 -0.3743 10.1262
-11.4689 1.9970 7.4543
-9.6598 -3.1044 9.4105
-11.3182 -1.3141 7.8536
-0.0561 0.3945 -3.8541
-1.7144 2.1848 -5.4111
-20.3674 -0.7692 20.8103
-9.7214 -3.2873 6.5747
-7.2605 -3.5909 7.9718
2.3432 -0.0921 -5.2929
-0.3483 2.8135 -7.8196
-9.9520 -0.6853 5.4451
-7.7851 -0.2940 7.9544
-9.3434 2.0773 5.2826
-17.6332 -0.6659 18.0166
-6.5050 2.3603 5.1174
-7.6701 0.2206 3.8980
-8.0658 4.0454 3.6521
-9.2309 1.9057 2.4326
-5.1390 -0.1941 5.2508
-6.3925 2.1887 2.2675
-15.5198 2.7296 15.2876
-5.2314 -0.3896 2.4483
-17.5289 -0.9600 13.1848
-14.9871 -0.5660 15.3130
-7.2405 -4.0792 0.3456
-4.9118 -3.1057 1.6606
-2.4048 -0.0908 2.4571
-15.2606 -0.1808 11.6647
-14.0227 2.0926 12.9604
-4.2670 2.2690 0.0957
-4.9722 -3.3000 -1.1745
-3.7343 -1.0266 0.1212
-12.8616 -0.4857 13.1412
-2.1775 -3.0024 -1.1331
-12.7491 -0.6573 10.2913
-11.5840 1.4823 11.5107
-11.1883 -2.3424 11.7566
-2.4355 -0.4062 -2.3986
-12.4556 -3.3906 9.3685
```

## Properties
As for the symmetry: I4_1/amd (141). The value obtained for the raw total energy is -117.9 eV/f.u. Its formation energy is -37.9 eV per formula unit. The value obtained for the magnetic moment is 0.0 μB per formula unit.



Entry from the Materials Project: crystalline NbHO3 at its relaxed geometry (PBE).

```
NbHO3
1.0
-3.8966 3.9733 3.9104
3.8733 -3.9480 3.8610
3.9023 3.9529 -3.8855
Nb H O
4 4 12
Cartesian
-1.8196 2.1106 1.9907
2.0191 2.1963 -1.8304
2.0623 -1.9861 2.0475
1.8958 1.9109 2.0674
3.1361 0.0290 0.7984
0.7534 4.0066 3.0390
0.7736 4.7783 0.0059
3.8311 3.0682 0.7231
5.4669 0.0112 1.5515
-1.5952 3.8907 2.3467
2.3963 -0.0172 1.4304
1.4968 3.9533 2.4078
1.4566 5.4753 -0.0038
2.2374 -1.6612 3.8851
1.6409 2.2982 0.0154
2.3038 1.6230 3.8330
-0.0720 1.6315 5.5091
3.9228 2.3203 -1.6785
0.0224 1.5929 2.2597
3.8434 2.5015 1.5213
```

## Properties
As for the symmetry: P1 (1). The value obtained for the raw total energy is -38.4 eV/f.u. Its formation energy is -12.1 eV per formula unit. The value obtained for the magnetic moment is 0.0 μB per formula unit.



Entry from the Materials Project: crystalline Mg6Si5 at its relaxed geometry (PBE).

```
Mg6Si5
1.0
-0.9313 1.0624 -4.2358
-4.9848 -4.8357 0.0667
-8.7058 9.1659 4.9108
Mg Si
12 10
Cartesian
-11.9292 5.5829 3.9365
-8.2782 2.1339 -0.2606
-8.2525 3.8505 2.4753
-7.2222 -0.4945 1.1975
-2.9691 1.1569 -2.2783
-10.2118 6.1653 1.2460
-9.9968 0.7446 2.0803
-5.7704 2.3529 1.5622
-5.9428 -3.1198 -0.0609
-13.5991 4.4159 1.7146
-10.1767 7.9810 4.0753
-4.2959 -0.5837 0.2270
-4.3909 4.4109 -0.6923
-6.7565 4.5571 -0.1787
-8.0941 6.5443 3.1188
-3.7019 -1.5029 -2.7044
-5.7809 1.2802 -1.1617
-10.5514 3.3969 0.6871
-11.1254 3.2022 3.1273
-3.6754 2.1754 0.0338
-6.0762 -1.0823 -1.8080
-7.4788 6.6717 0.6465
```

## Properties
The calculation puts the energy above the most stable polymorph in this dataset at 102.9 meV per atom. As for the symmetry: P1 (1). The value obtained for the raw total energy is -35.6 eV/f.u. Its formation energy is 1.5 eV per formula unit. The value obtained for the magnetic moment is 0.0 μB per formula unit.



Entry from the Materials Project: crystalline Mn3Sn2 at its relaxed geometry (PBE).

```
Mn3Sn2
1.0
5.4146 0.0000 0.0000
0.0000 7.4793 0.0000
0.0000 0.0000 8.4455
Mn Sn
12 8
Cartesian
2.7481 2.0078 1.0847
4.0609 4.4358 1.0029
1.3536 6.7832 5.2257
1.3536 3.0435 7.4425
5.3738 5.7474 3.1380
2.6665 1.7319 5.3074
2.7481 5.7474 3.1380
0.0408 5.4716 7.3608
4.0609 0.6961 3.2198
0.0408 1.7319 5.3074
5.3738 2.0078 1.0847
2.6665 5.4716 7.3608
1.3536 0.7524 3.0120
1.3536 4.4921 1.2108
4.0609 2.9872 7.2347
4.0609 7.0480 0.7943
4.0609 3.3083 3.4284
4.0609 6.7269 5.4335
1.3536 4.1710 5.0171
1.3536 0.4313 7.6511
```

## Properties
As for the symmetry: Pnma (62). The value obtained for the raw total energy is -35.1 eV/f.u. Its formation energy is 0.4 eV per formula unit. The value obtained for the magnetic moment is 7.9 μB per formula unit.



Entry from the Materials Project: crystalline Ba2TiS4 at its relaxed geometry (PBE).

```
Ba2TiS4
1.0
-0.9129 -1.3201 6.7176
-8.8236 -1.8051 -1.5538
2.8390 -12.1535 -2.0025
Ba Ti S
8 4 16
Cartesian
-1.1823 -1.4777 1.3242
-5.7152 -13.8011 1.8370
-4.5993 -6.6389 -0.1544
-2.2982 -8.6398 3.3156
-2.0909 -11.2188 -0.7135
-4.8067 -4.0599 3.8748
-6.9294 -10.2947 -1.1894
0.0318 -4.9841 4.3507
-1.0167 -5.9374 0.4703
-5.8808 -9.3413 2.6909
-6.4373 -2.5213 0.4050
-0.4602 -12.7574 2.7563
-1.2391 -8.1451 0.0063
-5.6584 -7.1337 3.1550
-4.7848 -12.7555 -1.3816
-2.1127 -2.5233 4.5428
-7.8232 -4.6118 5.0718
0.4847 -11.3048 1.3350
-2.3925 -5.5453 2.1955
-4.0640 -9.0956 -2.2799
0.9257 -10.6670 -1.9106
-7.3822 -3.9740 1.8262
-4.5050 -9.7334 0.9657
-2.8336 -6.1831 5.4411
0.8182 -8.1789 3.8297
-7.7157 -7.0999 -0.6685
-2.6775 -13.0030 2.4067
-4.2200 -2.2757 0.7546
```

## Properties
As for the symmetry: Pnma (62). The value obtained for the raw total energy is -41.0 eV/f.u. Its formation energy is -14.7 eV per formula unit.



Entry from the Materials Project: crystalline Mn4Fe8SiGe3 at its relaxed geometry (PBE).

```
Mn4Fe8SiGe3
1.0
-6.6290 1.7412 -11.4578
-3.7827 -0.7716 -12.7809
-7.1175 -2.2311 -11.0734
Mn Fe Si Ge
4 8 1 3
Cartesian
-10.9447 -0.7877 -22.0479
-6.5845 -0.4739 -13.2644
-15.3325 -1.1035 -30.8871
-2.1966 -0.1581 -4.4251
-16.4298 -1.1824 -33.0976
-12.0449 -0.8668 -24.2643
-3.2622 -0.2348 -6.5717
-7.6982 -0.5540 -15.5079
-9.8309 -0.7075 -19.8043
-5.4842 -0.3947 -11.0479
-14.2669 -1.0268 -28.7405
-1.0994 -0.0791 -2.2146
-8.7646 -0.6308 -17.6561
-13.1537 -0.9466 -26.4980
0.0000 0.0000 0.0000
-4.3754 -0.3149 -8.8142
```

## Properties
As for the symmetry: R-3m (166). The value obtained for the raw total energy is -126.3 eV/f.u. Its formation energy is -2.6 eV per formula unit. The value obtained for the magnetic moment is 12.0 μB per formula unit.



Entry from the Materials Project: crystalline ThSi3Ir at its relaxed geometry (PBE).

```
ThSi3Ir
1.0
-2.1434 2.1434 4.8675
2.1434 -2.1434 4.8675
2.1434 2.1434 -4.8675
Th Si Ir
1 3 1
Cartesian
0.0000 0.0000 9.7277
0.0000 0.0000 3.9903
2.1434 0.0000 2.5796
0.0000 2.1434 2.5796
0.0000 0.0000 6.3752
```

## Properties
As for the symmetry: I4mm (107). The value obtained for the raw total energy is -36.7 eV/f.u. Its formation energy is -4.2 eV per formula unit.



Entry from the Materials Project: crystalline Tb3Ge13Os4 at its relaxed geometry (PBE).

```
Tb3Ge13Os4
1.0
9.0949 0.0000 0.0000
0.0000 9.0949 0.0000
0.0000 0.0000 9.0949
Tb Ge Os
6 26 8
Cartesian
0.0000 4.5475 6.8212
4.5475 2.2737 0.0000
6.8212 0.0000 4.5475
0.0000 4.5475 2.2737
4.5475 6.8212 0.0000
2.2737 0.0000 4.5475
4.5475 4.5475 4.5475
0.0000 0.0000 0.0000
7.2717 3.2228 4.5475
5.8722 4.5475 7.2717
4.5475 1.8233 5.8722
1.8233 5.8722 4.5475
3.2228 4.5475 1.8233
4.5475 7.2717 3.2228
7.2717 5.8722 4.5475
5.8722 4.5475 1.8233
1.8233 3.2228 4.5475
3.2228 4.5475 7.2717
4.5475 7.2717 5.8722
4.5475 1.8233 3.2228
2.7242 0.0000 7.7702
1.3247 2.7242 0.0000
0.0000 1.3247 6.3707
6.3707 0.0000 1.3247
7.7702 6.3707 0.0000
0.0000 7.7702 2.7242
2.7242 0.0000 1.3247
1.3247 6.3707 0.0000
6.3707 0.0000 7.7702
7.7702 2.7242 0.0000
0.0000 1.3247 2.7242
0.0000 7.7702 6.3707
6.8212 2.2737 6.8212
2.2737 6.8212 2.2737
6.8212 6.8212 2.2737
2.2737 2.2737 6.8212
2.2737 6.8212 6.8212
6.8212 2.2737 2.2737
2.2737 2.2737 2.2737
6.8212 6.8212 6.8212
```

## Properties
As for the symmetry: Pm-3n (223). The value obtained for the raw total energy is -125.7 eV/f.u. Its formation energy is -6.8 eV per formula unit.



Entry from the Materials Project: crystalline HfMg6SnO8 at its relaxed geometry (PBE).

```
HfMg6SnO8
1.0
-1.6627 -3.6113 8.0906
1.5896 -3.9578 -1.4399
4.1289 1.1611 1.3668
Hf Mg Sn O
1 6 1 8
Cartesian
2.8593 -1.3983 -0.0366
-0.8313 -1.8056 4.0453
2.0279 -3.2040 4.0088
1.6182 -0.3888 2.8551
0.8481 -2.0614 6.6024
0.3485 -2.9482 1.4517
-0.4216 -4.6208 5.1990
0.0000 0.0000 0.0000
-0.4599 -0.9988 2.2377
-1.2028 -2.6125 5.8529
2.4281 -2.3349 2.0617
1.6278 -4.0731 5.9559
2.0645 0.5806 0.6834
1.2331 -1.2251 4.7287
0.7948 -1.9789 -0.7199
-0.0365 -3.7845 3.3254
```

## Properties
The calculation puts the energy above the most stable polymorph in this dataset at 21.7 meV per atom. As for the symmetry: P4/mmm (123). The value obtained for the raw total energy is -97.2 eV/f.u. Its formation energy is -39.5 eV per formula unit. The value obtained for the magnetic moment is 1.6 μB per formula unit.